The following is a DFT calculation (PBE-GGA) of a relaxed LiCd2Ag crystal.

The space group is Fm-3m (No. 225) and the conventional cell measures 6.7235, 6.7235 and 6.7235 Å, with angles of 90.00, 90.00 and 90.00 degrees. The inequivalent atoms are Li at (0.0000, 0.0000, 0.0000), Cd at (0.2500, 0.2500, 0.2500) and Ag at (0.0000, 0.0000, 0.5000).

Its formation energy is -0.206 eV per atom. The value obtained for the electronic total energy is -0.0681 Ha/atom.